# 1
## Na6Li2Y3Zr3P6C2O34 (PBE)

Data for Na6Li2Y3Zr3P6C2O34 after structural relaxation.

Structure (POSCAR):
```
Na6Li2Y3Zr3P6C2O34
1.0
11.0856 0.0000 0.0000
0.0074 11.0896 0.0000
0.0084 0.0150 11.1236
Na Li Y Zr P C O
12 4 6 6 12 4 68
Cartesian
0.0000 0.0000 0.0000
0.0092 0.3015 7.4743
0.0186 7.4920 3.6113
0.0257 3.8928 3.8542
3.6017 0.2688 11.0850
3.6121 0.0325 7.4917
3.6108 3.8919 3.6185
3.6211 7.4924 3.8394
7.2231 3.9230 11.0968
7.2400 7.4982 7.4793
7.4485 3.9301 7.4695
7.4851 7.4965 11.0979
5.1905 9.0623 1.5436
5.2060 2.3047 5.8895
9.4917 9.1061 5.8699
9.4902 2.2941 1.5691
3.8396 0.1523 3.7279
7.3570 0.1467 0.1940
7.3670 0.1667 7.2704
7.3693 3.6726 3.7333
7.3665 7.7223 3.7295
10.8868 0.1528 3.7329
1.8186 3.2288 9.2902
1.8227 5.7054 6.7383
1.8355 8.1963 9.2933
1.8335 5.7031 0.7217
4.3015 5.7036 9.2990
10.4033 5.7244 9.2874
1.6342 2.2581 1.6023
1.6460 9.1317 5.8472
1.9830 2.2736 5.8648
1.9851 9.1180 1.6051
5.2472 2.2803 9.1189
5.2506 5.5290 5.8489
5.2486 5.8599 1.6116
5.2574 9.1277 9.4559
9.4642 2.3124 9.4538
9.4871 5.5268 1.6185
9.4861 5.8731 5.8487
9.4911 9.1392 9.1162
6.0485 1.4600 2.4099
6.0602 9.9356 5.0528
8.6640 1.4525 5.0409
8.6733 9.9323 2.4149
0.2233 1.7832 2.0976
0.2317 9.6057 5.3621
0.5800 4.4868 10.5593
0.5836 6.9583 8.0226
0.5942 4.5047 8.0541
0.5976 6.9364 10.5384
0.8963 1.4859 5.0834
0.8975 9.9045 2.3841
1.7844 1.9208 0.1013
1.8149 3.7546 1.9502
1.8209 7.6349 5.4964
1.8149 9.4683 7.3459
1.8276 1.9456 7.3674
1.8265 3.7731 5.5127
1.8275 7.6189 1.9551
1.8330 9.4508 0.1027
2.7015 1.4517 2.3934
2.7083 9.9343 5.0477
3.0457 4.4773 10.5463
3.0519 6.9371 8.0384
3.0675 4.4643 8.0188
3.0750 6.9572 10.5605
3.3879 1.7819 5.3710
3.3931 9.6019 2.0969
3.7501 1.9348 9.2971
3.7497 5.6937 1.9629
3.7528 5.6950 5.4960
3.7559 9.4673 9.2910
5.5212 0.4028 1.8816
5.5297 1.9777 3.4779
5.5372 10.9975 5.5765
5.5368 9.4157 3.9877
5.5727 3.7833 9.2886
5.5852 5.6888 7.3490
5.5800 5.7040 0.1103
5.5924 7.6262 9.2961
5.7273 1.8033 7.7029
5.7288 7.2709 2.0992
5.7391 9.6136 10.8684
5.7331 4.1174 5.3622
6.0476 4.7871 2.3982
6.0489 6.6014 5.0599
6.0512 9.9175 8.3807
6.0633 1.4905 10.1791
7.1164 1.9786 1.8933
7.1265 9.4155 5.5699
7.6033 1.9784 5.5631
7.6117 9.4075 1.8916
8.6960 4.7908 5.0642
8.6977 6.6016 2.4142
8.7009 9.9373 10.1881
8.7053 1.5091 8.3613
8.9952 1.7972 10.8595
8.9954 4.1162 2.0957
8.9961 7.2790 5.3588
9.0021 9.6154 7.7050
9.0936 3.8087 9.3094
9.1490 5.7207 7.3501
9.1497 7.6389 9.2892
9.1500 5.7026 0.1200
9.1855 0.3893 5.5633
9.1841 1.9700 3.9746
9.1905 9.4182 3.4846
9.1972 10.9928 1.8897
10.9729 2.0159 9.2902
10.9850 5.7142 5.4995
10.9924 9.4713 9.2811
10.9858 5.6820 1.9696
```

Results
energy of formation from the pure elements	-68.62	kcal/mol of atoms
total DFT energy (no corrections)	-838.46	eV/cell
space-group type	P1, No. 1



# 2
## Nd2C3O17 (PBE)

Data for Nd2C3O17 after structural relaxation.

Structure (POSCAR):
```
Nd2C3O17
1.0
8.4322 0.0000 0.0000
0.0000 9.6431 0.0000
0.0000 0.0000 17.6700
Nd C O
8 12 68
Cartesian
2.1081 2.4108 3.5119
2.1081 2.4108 12.3469
2.1081 7.2323 4.1394
2.1081 7.2323 12.9744
6.3242 2.4108 4.6956
6.3242 2.4108 13.5306
6.3242 7.2323 5.3231
6.3242 7.2323 14.1581
0.3687 4.8368 3.9158
0.3687 9.6278 12.7508
2.1081 2.4108 6.6804
2.1081 2.4108 15.5155
3.8474 4.8368 12.7508
3.8474 9.6278 3.9158
4.5848 0.0153 13.7542
4.5848 4.8063 4.9192
6.3242 7.2323 2.1546
6.3242 7.2323 10.9896
8.0635 0.0153 4.9192
8.0635 4.8063 13.7542
0.1797 1.1337 4.5687
0.1797 3.6878 13.4037
0.2326 5.9367 13.9245
0.2326 8.5280 5.0895
1.1936 1.7448 1.3597
1.1936 3.0767 10.1947
1.3023 1.5555 15.4665
1.3023 3.2661 6.6315
1.3453 5.4250 17.0076
1.3453 9.0397 8.1725
1.4365 7.1852 10.7323
1.4365 7.2795 1.8973
1.6626 4.8378 3.7297
1.6626 9.6269 12.5647
1.9257 5.8676 7.5206
1.9257 8.5970 16.3556
2.1081 2.4108 0.5919
2.1081 2.4108 9.4269
2.2904 5.8676 16.3556
2.2904 8.5970 7.5206
2.5535 4.8378 12.5647
2.5535 9.6269 3.7297
2.7796 7.1852 1.8973
2.7796 7.2795 10.7323
2.8708 5.4250 8.1725
2.8708 9.0397 17.0076
2.9138 1.5555 6.6315
2.9138 3.2661 15.4665
3.0225 1.7448 10.1947
3.0225 3.0767 1.3597
3.9835 5.9367 5.0895
3.9835 8.5280 13.9245
4.0364 1.1337 13.4037
4.0364 3.6878 4.5687
4.3958 5.9553 13.1013
4.3958 8.5094 4.2663
4.4487 1.1151 3.7456
4.4487 3.7065 12.5806
5.4097 6.5664 16.3103
5.4097 7.8983 7.4753
5.5184 6.3770 2.2035
5.5184 8.0877 11.0385
5.5614 0.6034 0.6625
5.5614 4.2181 9.4975
5.6526 2.3636 6.9377
5.6526 2.4579 15.7727
5.8787 0.0162 13.9403
5.8787 4.8053 5.1053
6.1418 1.0461 10.1495
6.1418 3.7755 1.3145
6.3242 7.2323 8.2431
6.3242 7.2323 17.0781
6.5065 1.0461 1.3145
6.5065 3.7755 10.1495
6.7696 0.0162 5.1053
6.7696 4.8053 13.9403
6.9957 2.3636 15.7727
6.9957 2.4579 6.9377
7.0869 0.6034 9.4975
7.0869 4.2181 0.6625
7.1299 6.3770 11.0385
7.1299 8.0877 2.2035
7.2386 6.5664 7.4753
7.2386 7.8983 16.3103
8.1996 1.1151 12.5806
8.1996 3.7065 3.7456
8.2525 5.9553 4.2663
8.2525 8.5094 13.1013
```

Results
energy of formation from the pure elements	-29.27	kcal/mol of atoms
total DFT energy (no corrections)	-597.06	eV/cell
space-group type	Pccn, No. 56



# 3
## Ba4Nd3F17 (PBE)

Data for Ba4Nd3F17 after structural relaxation.

Structure (POSCAR):
```
Ba4Nd3F17
1.0
9.5748 0.0000 0.0000
2.7921 9.1765 0.0000
2.8435 2.0824 8.9896
Ba Nd F
8 6 34
Cartesian
0.0000 0.0000 0.0000
4.3926 7.4201 7.0571
8.3741 9.1547 6.2077
7.1432 5.2853 4.2062
8.2939 7.2929 0.4141
10.1062 5.6764 7.6103
9.4023 1.7514 5.6384
11.1678 7.1388 3.7823
3.5428 3.6759 5.1646
5.4053 8.9287 3.1043
4.3858 5.3934 1.1283
6.3983 3.8187 8.1240
6.6252 1.7208 2.3936
10.2919 3.6148 1.7790
2.0279 5.5459 1.2635
4.2404 4.6472 8.7367
3.6860 7.6188 2.0220
2.9798 1.4321 4.7467
4.1962 5.2569 3.5256
6.4702 8.8386 8.1975
3.2414 3.2211 1.6307
4.6271 2.4697 6.9814
5.3491 4.9231 6.1909
5.6696 9.3411 0.7576
6.2840 7.7503 5.0056
6.9782 6.0970 8.1770
6.2119 6.8355 2.2039
5.5558 2.7697 4.2263
7.7052 9.3184 2.8413
9.0193 7.9521 8.5689
6.1867 3.9578 1.6940
10.0770 10.8856 7.4053
5.6131 1.5118 0.2741
8.1410 4.0921 6.4343
9.0687 6.7299 5.3602
10.2129 9.6971 4.2788
8.4194 3.0390 3.3832
9.1888 5.6935 2.5423
11.1159 8.3244 6.6532
10.2849 8.7771 1.6782
8.3749 2.2741 0.8337
12.1117 6.8760 8.9409
13.2503 9.8686 7.8325
11.3793 3.3000 6.7821
11.0931 3.9441 3.9729
12.2141 5.7582 5.8706
13.2520 8.6094 4.7006
10.5469 1.3448 2.5073
```

Results
energy of formation from the pure elements	-99.53	kcal/mol of atoms
total DFT energy (no corrections)	-300.52	eV/cell
space-group type	P1, No. 1



# 4
## Mg6TiZnO8 (PBE)

Data for Mg6TiZnO8 after structural relaxation.

Structure (POSCAR):
```
Mg6TiZnO8
1.0
4.2873 0.0000 0.0000
0.0000 4.2873 0.0000
0.0000 0.0000 8.6849
Mg Ti Zn O
6 1 1 8
Cartesian
0.0000 0.0000 0.0000
0.0000 0.0000 4.3425
0.0000 2.1437 2.1417
0.0000 2.1437 6.5432
2.1437 0.0000 2.1417
2.1437 0.0000 6.5432
2.1437 2.1437 4.3425
2.1437 2.1437 0.0000
0.0000 0.0000 2.1821
0.0000 0.0000 6.5028
0.0000 2.1437 0.0000
0.0000 2.1437 4.3425
2.1437 0.0000 0.0000
2.1437 0.0000 4.3425
2.1437 2.1437 2.1742
2.1437 2.1437 6.5107
```

Results
energy of formation from the pure elements	-63.76	kcal/mol of atoms
total DFT energy (no corrections)	-97.08	eV/cell
space-group type	P4/mmm, No. 123



# 5
## Ti3Cr3Si5 (PBE)

Data for Ti3Cr3Si5 after structural relaxation.

Structure (POSCAR):
```
Ti3Cr3Si5
1.0
8.7789 -2.4173 0.0000
8.7789 2.4173 0.0000
-3.1965 0.0000 6.8443
Ti Cr Si
6 6 10
Cartesian
0.1617 0.0000 2.1172
0.0914 0.0000 5.1058
4.7597 0.0000 3.2448
9.6016 0.0000 3.5995
14.2699 0.0000 1.7385
14.1996 0.0000 4.7271
2.8330 1.2243 5.5343
11.5283 1.2243 1.3100
7.1141 0.0000 1.2727
7.2471 0.0000 5.5716
2.8330 -1.2243 5.5343
11.5283 -1.2243 1.3100
-1.9230 0.0000 6.6845
2.1746 0.0000 3.5052
7.1806 1.1781 3.4221
4.8070 0.0000 0.5662
4.8911 0.0000 5.8709
9.4701 0.0000 0.9734
9.5542 0.0000 6.2781
7.1806 -1.1781 3.4221
12.1866 0.0000 3.3391
16.2843 0.0000 0.1597
```

Results
energy of formation from the pure elements	-13.23	kcal/mol of atoms
distance to the lowest polymorph of the same formula	0	meV per atom
total DFT energy (no corrections)	-172.88	eV/cell
space-group type	C2/m, No. 12



# 6
## Ca4Ti3AlSi4O19F (PBE)

Data for Ca4Ti3AlSi4O19F after structural relaxation.

Structure (POSCAR):
```
Ca4Ti3AlSi4O19F
1.0
5.4760 0.0000 0.0000
1.7699 6.8873 0.0000
2.1810 -0.2924 19.8699
Ca Ti Al Si O F
8 6 2 8 38 2
Cartesian
1.9450 2.1828 8.3103
3.4380 2.6365 16.5049
3.4524 0.3703 13.2089
2.7304 1.1420 1.6443
6.6965 5.4528 18.2256
5.9745 6.2245 6.6610
5.9888 3.9583 3.3650
7.4819 4.4120 11.5596
0.0000 0.0000 0.0000
0.8849 3.4436 0.0000
3.2391 5.0957 5.0194
2.3593 1.6470 4.9994
7.0676 4.9479 14.8705
6.1878 1.4991 14.8505
3.8285 -0.1462 9.9349
4.7134 3.2974 9.9349
2.9595 5.6004 8.4379
4.2530 6.0896 16.4627
4.4226 3.7758 13.2373
3.5463 4.5966 1.6057
5.8806 1.9982 18.2642
5.0043 2.8190 6.6326
5.1739 0.5052 3.4072
6.4674 0.9944 11.4320
1.0760 1.4190 3.4378
3.1421 4.7506 13.6057
0.9304 1.5955 0.3425
2.3856 0.4863 15.4281
2.6219 5.0789 6.9015
2.8309 -0.2494 17.9772
2.3181 3.5111 4.6684
3.1075 4.2611 9.4139
2.1667 3.6856 1.5720
2.3380 0.1004 11.0896
4.3469 6.5165 8.4768
4.6048 2.9783 18.6170
4.1826 6.7069 5.3427
3.4487 5.8832 0.5703
4.0851 3.2652 11.7110
3.8991 5.1433 3.1191
4.5004 2.4899 14.2741
5.5277 5.1034 16.1191
3.6287 1.9033 6.5864
5.7982 4.6915 13.2835
3.8992 1.4914 3.7508
4.9265 4.1049 5.5958
5.5278 1.4515 16.7508
5.3418 3.3296 8.1588
5.9782 0.7116 19.2995
5.2443 -0.1121 14.5271
4.8221 3.6165 1.2528
5.0800 0.0783 11.3930
7.0889 6.4944 8.7803
7.2602 2.9092 18.2978
6.3194 2.3337 10.4560
7.1088 3.0837 15.2015
6.5959 6.8442 1.8927
6.8050 1.5159 12.9684
7.0413 6.1085 4.4418
8.4965 4.9993 19.5274
6.2848 1.8443 6.2642
8.3509 5.1758 16.4321
3.8166 1.6944 9.5791
5.6102 4.9004 10.2908
```

Results
energy of formation from the pure elements	-80.53	kcal/mol of atoms
total DFT energy (no corrections)	-502.63	eV/cell
space-group type	P-1, No. 2



# 7
## K2NdI5 (PBE)

Data for K2NdI5 after structural relaxation.

Structure (POSCAR):
```
K2NdI5
1.0
14.6645 0.0000 0.0000
0.0000 9.8598 0.0000
0.0000 0.0000 9.2809
K Nd I
8 4 20
Cartesian
2.5169 0.0455 0.4769
2.5169 4.8844 0.4769
4.8154 4.9754 5.1173
4.8154 9.8143 5.1173
9.8491 0.0455 4.1636
9.8491 4.8844 4.1636
12.1476 4.9754 8.8040
12.1476 9.8143 8.8040
0.0764 2.4649 5.3746
7.2558 7.3948 0.7342
7.4087 2.4649 8.5467
14.5881 7.3948 3.9063
0.1065 2.4649 8.6073
1.1355 5.3691 6.1742
1.1355 9.4205 6.1742
2.6493 2.4649 3.4493
3.0116 7.3948 3.1192
4.3207 2.4649 7.7596
4.6829 7.3948 8.0897
6.1967 0.4392 1.5337
6.1967 4.4907 1.5337
7.2258 7.3948 3.9669
7.4387 2.4649 5.3140
8.4677 5.3691 7.7472
8.4677 9.4205 7.7472
9.9815 2.4649 1.1912
10.3438 7.3948 1.5213
11.6529 2.4649 6.1617
12.0152 7.3948 5.8316
13.5290 0.4392 3.1067
13.5290 4.4907 3.1067
14.5580 7.3948 0.6736
```

Results
energy of formation from the pure elements	-39.39	kcal/mol of atoms
total DFT energy (no corrections)	-105.52	eV/cell
space-group type	Pnma, No. 62



# 8
## MgBi4O8 (PBE)

Data for MgBi4O8 after structural relaxation.

Structure (POSCAR):
```
MgBi4O8
1.0
3.4558 0.0000 0.0000
0.0000 12.0748 0.0000
-1.2380 0.0000 5.3663
Mg Bi O
1 4 8
Cartesian
0.0000 0.0000 0.0000
1.2642 1.9393 2.8171
1.2642 10.1355 2.8171
3.0837 3.9776 0.2972
3.0837 8.0972 0.2972
-0.2299 1.5831 1.2672
-0.2299 10.4917 1.2672
0.0845 3.1278 4.2938
0.0845 8.9470 4.2938
0.4908 0.0000 4.2519
1.3740 3.9103 1.7340
1.3740 8.1644 1.7340
1.8345 6.0374 5.2867
```

Results
energy of formation from the pure elements	-36.91	kcal/mol of atoms
distance to the lowest polymorph of the same formula	136	meV per atom
total DFT energy (no corrections)	-72.06	eV/cell
space-group type	Pm, No. 6